Record 1
# PrFeGe3

PrFeGe3 after structural relaxation (meta-GGA r2SCAN, the Materials Project).

SG: I4mm, No. 107
total DFT energy (no corrections): -17.482 eV/atom
size of the total moment: 0.00 μB/f.u.
energy of formation from the pure elements: -395 meV per atom

Lattice parameters (Å, degrees): 5.8269 5.8269 5.8269 136.64 136.64 63.00
With the nearest neighbours (Å) after each atom.
Element x y z (fractional)
Ge (0.7546, 0.2546, 0.5000)  2 Fe 2.33
Ge (0.2546, 0.7546, 0.5000)  2 Fe 2.33
Ge (0.4387, 0.4387, 0.0000)  1 Fe 2.25
Pr (0.9981, 0.9981, 0.0000)  12 Ge 3.10-3.34, 5 Fe 3.31-3.47
Fe (0.6650, 0.6650, 0.0000)  5 Ge 2.25-2.33

***

Record 2
# Li11Ge6

Li11Ge6 after structural relaxation (meta-GGA r2SCAN, the Materials Project).

SG: Cmcm, No. 63
total DFT energy (no corrections): -6.812 eV/atom
size of the total moment: 0.00 μB/f.u.
energy of formation from the pure elements: -371 meV per atom

Lattice parameters (Å, degrees): 4.3062 10.5223 12.4715 90.00 99.94 90.00
With the nearest neighbours (Å) after each atom.
Element x y z (fractional)
Li (0.3624, 0.7500, 0.7248)  2 Ge 2.56, 4 Li 2.74
Li (0.0882, 0.4979, 0.1764)  3 Li 2.54-2.78, 3 Ge 2.61
Li (0.5349, 0.3855, 0.0698)  4 Ge 2.74-2.82, 7 Li 2.78-2.97
Li (0.7579, 0.3946, 0.5157)  5 Ge 2.66-2.82, 4 Li 2.84-2.91
Li (0.1785, 0.3804, 0.3569)  5 Li 2.54-2.84, 4 Ge 2.65-2.83
Li (0.4651, 0.8855, 0.9302)  4 Ge 2.74-2.82, 7 Li 2.78-2.97
Li (0.8572, 0.2500, 0.7144)  5 Li 2.88-2.97, 10 Ge 2.96-3.06
Li (0.9753, 0.2500, 0.9505)  5 Ge 2.60-2.78, 1 Li 2.90
Li (0.0247, 0.7500, 0.0495)  5 Ge 2.60-2.78, 1 Li 2.90
Li (0.0882, 0.0021, 0.1764)  3 Li 2.54-2.78, 3 Ge 2.61
Li (0.9118, 0.9979, 0.8236)  3 Li 2.54-2.78, 3 Ge 2.61
Li (0.2421, 0.8946, 0.4843)  5 Ge 2.66-2.82, 4 Li 2.84-2.91
Li (0.8215, 0.6196, 0.6431)  5 Li 2.54-2.84, 4 Ge 2.65-2.83
Li (0.1785, 0.1196, 0.3569)  5 Li 2.54-2.84, 4 Ge 2.65-2.83
Li (0.8215, 0.8804, 0.6431)  5 Li 2.54-2.84, 4 Ge 2.65-2.83
Li (0.5349, 0.1145, 0.0698)  4 Ge 2.74-2.82, 7 Li 2.78-2.97
Li (0.1428, 0.7500, 0.2856)  5 Li 2.88-2.97, 10 Ge 2.96-3.06
Li (0.7579, 0.1054, 0.5157)  5 Ge 2.66-2.82, 4 Li 2.84-2.91
Li (0.6376, 0.2500, 0.2752)  2 Ge 2.56, 4 Li 2.74
Li (0.9118, 0.5021, 0.8236)  3 Li 2.54-2.78, 3 Ge 2.61
Li (0.4651, 0.6145, 0.9302)  4 Ge 2.74-2.82, 7 Li 2.78-2.97
Li (0.2421, 0.6054, 0.4843)  5 Ge 2.66-2.82, 4 Li 2.84-2.91
Ge (0.6712, 0.9455, 0.3424)  2 Ge 2.48-2.50, 1 Li 2.71
Ge (0.2709, 0.2500, 0.5419)  2 Ge 2.50, 6 Li 2.65-2.66
Ge (0.3288, 0.0545, 0.6576)  2 Ge 2.48-2.50, 1 Li 2.71
Ge (0.7291, 0.7500, 0.4581)  2 Ge 2.50, 6 Li 2.65-2.66
Ge (0.4238, 0.3653, 0.8477)  2 Ge 2.43-2.48, 2 Li 2.61
Ge (0.5762, 0.6347, 0.1523)  2 Ge 2.43-2.48, 2 Li 2.61
Ge (0.4238, 0.1347, 0.8477)  2 Ge 2.43-2.48, 2 Li 2.61
Ge (0.5762, 0.8653, 0.1523)  2 Ge 2.43-2.48, 2 Li 2.61
Ge (0.0809, 0.2500, 0.1618)  11 Li 2.56-2.82
Ge (0.9191, 0.7500, 0.8382)  11 Li 2.56-2.82
Ge (0.3288, 0.4455, 0.6576)  2 Ge 2.48-2.50, 1 Li 2.71
Ge (0.6712, 0.5545, 0.3424)  2 Ge 2.48-2.50, 1 Li 2.71

***

Record 3
# Cs2NaNdF6

Cs2NaNdF6 after structural relaxation (meta-GGA r2SCAN, the Materials Project).

SG: Fm-3m, No. 225
total DFT energy (no corrections): -13.711 eV/atom
size of the total moment: 0.00 μB/f.u.
energy of formation from the pure elements: -3516 meV per atom

Lattice parameters (Å, degrees): 6.4756 6.4756 6.4756 60.00 60.00 60.00
With the nearest neighbours (Å) after each atom.
Element x y z (fractional)
Cs (0.2500, 0.2500, 0.2500)  12 F 3.24
Cs (0.7500, 0.7500, 0.7500)  12 F 3.24
F (0.7515, 0.2485, 0.7515)  1 Nd 2.28, 1 Na 2.30
F (0.2485, 0.7515, 0.2485)  1 Nd 2.28, 1 Na 2.30
F (0.2485, 0.2485, 0.7515)  1 Nd 2.28, 1 Na 2.30
F (0.7515, 0.2485, 0.2485)  1 Nd 2.28, 1 Na 2.30
F (0.7515, 0.7515, 0.2485)  1 Nd 2.28, 1 Na 2.30
F (0.2485, 0.7515, 0.7515)  1 Nd 2.28, 1 Na 2.30
Na (0.5000, 0.5000, 0.5000)  6 F 2.30
Nd (0.0000, 0.0000, 0.0000)  6 F 2.28

***

- What is the size of the total moment in the first record?
  0.00 μB/f.u.